(1)
## Pr2MgSi4 (GGA-PBE)

Data for a geometry-optimized Pr2MgSi4 structure.

abc: 6.108 6.108 17.563
angles: 100.01 100.01 90.00
Atoms (fractional coordinates):
Mg1 0.125 0.876 0.250
Si1 0.986 0.719 0.972
Si2 0.264 0.028 0.529
Si3 0.472 0.666 0.332
Si4 0.969 0.736 0.472
Si5 0.502 0.736 0.472
Pr1 0.948 0.200 0.399
Pr2 0.450 0.698 0.899
Pr3 0.450 0.201 0.899
Si6 0.986 0.252 0.972
Mg2 0.126 0.875 0.750
Pr4 0.801 0.549 0.601
Pr5 0.451 0.200 0.399
Si7 0.916 0.610 0.832
Si8 0.278 0.014 0.029
Si9 0.390 0.084 0.168
Si10 0.264 0.501 0.529
Si11 0.860 0.666 0.332
Si12 0.751 0.014 0.029
Si13 0.334 0.528 0.668
Si14 0.916 0.222 0.832
Si15 0.778 0.084 0.168
Pr6 0.801 0.052 0.601
Mg3 0.125 0.375 0.250
Pr7 0.799 0.551 0.101
Mg4 0.625 0.875 0.750
Pr8 0.302 0.551 0.101
Si16 0.334 0.140 0.668

Output
The calculation puts the formation energy at -5 meV per atom. As for the total magnetization: 0.000 Bohr magnetons per cell. Its space group is I4_1md (109).

=====

(2)
## PrMgSi2 (GGA-PBE)

Data for a geometry-optimized PrMgSi2 structure.

abc: 18.678 18.678 18.678
angles: 166.83 166.83 18.67
Atoms (fractional coordinates):
Si1 0.452 0.452 0.000
Si2 0.389 0.389 0.000
Mg1 0.750 0.750 0.000
Mg2 0.250 0.250 0.000
Pr1 0.673 0.173 0.500
Mg3 0.500 0.000 0.500
Si3 0.548 0.548 0.000
Si4 0.202 0.702 0.500
Si5 0.611 0.611 0.000
Si6 0.298 0.798 0.500
Pr2 0.923 0.923 0.000
Si7 0.361 0.861 0.500
Mg4 0.000 0.500 0.500
Pr3 0.077 0.077 0.000
Pr4 0.827 0.327 0.500
Si8 0.139 0.639 0.500

Output
The calculation puts the formation energy at -490 meV per atom. Its space group is I4_1/amd (141).

=====

(3)
## Pr2MgSi2 (GGA-PBE)

Data for a geometry-optimized Pr2MgSi2 structure.

abc: 7.443 7.443 4.394
angles: 90.00 90.00 90.00
Atoms (fractional coordinates):
Pr1 0.181 0.319 0.500
Pr2 0.819 0.681 0.500
Si1 0.385 0.115 0.000
Si2 0.115 0.615 0.000
Si3 0.885 0.385 0.000
Pr3 0.319 0.819 0.500
Pr4 0.681 0.181 0.500
Mg1 0.500 0.500 0.000
Mg2 0.000 0.000 0.000
Si4 0.615 0.885 0.000

Output
The calculation puts the formation energy at -632 meV per atom. Its space group is P4/mbm (127).

=====

(4)
## PrSmMg2 (GGA-PBE)

Data for a geometry-optimized PrSmMg2 structure.

abc: 5.489 5.489 5.489
angles: 60.00 60.00 60.00
Atoms (fractional coordinates):
Mg1 0.750 0.750 0.750
Mg2 0.250 0.250 0.250
Sm1 0.000 0.000 0.000
Pr1 0.500 0.500 0.500

Output
The calculation puts the formation energy at -100 meV per atom. Its space group is Fm-3m (225).

=====

(5)
## PrMgSn (GGA-PBE)

Data for a geometry-optimized PrMgSn structure.

abc: 4.674 7.725 9.150
angles: 90.00 90.00 90.00
Atoms (fractional coordinates):
Sn1 0.250 0.771 0.887
Mg1 0.250 0.154 0.933
Sn2 0.750 0.229 0.113
Pr1 0.250 0.021 0.318
Mg2 0.750 0.846 0.067
Mg3 0.250 0.654 0.567
Sn3 0.250 0.271 0.613
Mg4 0.750 0.346 0.433
Pr2 0.250 0.521 0.182
Sn4 0.750 0.729 0.387
Pr3 0.750 0.479 0.818
Pr4 0.750 0.979 0.682

Output
The calculation puts the formation energy at -587 meV per atom. As for the total magnetization: 2.082 Bohr magnetons per cell. Its space group is Pnma (62).

=====

(6)
## PrMgSn (GGA-PBE)

Data for a geometry-optimized PrMgSn structure.

abc: 8.759 8.759 8.759
angles: 149.91 149.91 43.07
Atoms (fractional coordinates):
Mg1 0.500 0.000 0.500
Pr1 0.663 0.663 0.000
Sn1 0.132 0.132 0.000
Mg2 0.000 0.500 0.500
Sn2 0.868 0.868 0.000
Pr2 0.337 0.337 0.000

Output
The calculation puts the formation energy at -602 meV per atom. Its space group is I4/mmm (139).

=====

(7)
## PrMgTl2 (GGA-PBE)

Data for a geometry-optimized PrMgTl2 structure.

abc: 5.391 5.391 5.391
angles: 60.00 60.00 60.00
Atoms (fractional coordinates):
Mg1 0.500 0.500 0.500
Tl1 0.250 0.250 0.250
Pr1 0.000 0.000 0.000
Tl2 0.750 0.750 0.750

Output
The calculation puts the formation energy at -255 meV per atom. As for the total magnetization: 0.004 Bohr magnetons per cell. Its space group is Fm-3m (225).

=====

(8)
## Pr2MgTl (GGA-PBE)

Data for a geometry-optimized Pr2MgTl structure.

abc: 5.551 5.551 5.551
angles: 60.00 60.00 60.00
Atoms (fractional coordinates):
Pr1 0.750 0.750 0.750
Pr2 0.250 0.250 0.250
Mg1 0.500 0.500 0.500
Tl1 0.000 0.000 0.000

Output
The calculation puts the formation energy at -261 meV per atom. Its space group is Fm-3m (225).